[1]
Material: Na3Li3Mn2P2C2O14
Method: DFT, PBE+U
State: optimized geometry

Computed properties:
- energy of formation from the pure elements (meV per atom) = -2380
- total magnetic moment (μB per atom) = 0.385
- relative energy among the computed polymorphs (meV/atom) = 12

a b c (Å): 6.724 8.767 10.167
angles (deg): 90.74 90.26 90.64
Space group P1 (No. 1)
Inequivalent atoms, fractional coordinates:
Na 0.000 0.000 0.000 (multiplicity 1)
Na 0.000 0.000 0.500 (multiplicity 1)
Na 0.498 0.491 0.249 (multiplicity 1)
Na 0.745 0.662 0.003 (multiplicity 1)
Na 0.747 0.662 0.503 (multiplicity 1)
Na 0.999 0.491 0.748 (multiplicity 1)
Li 0.251 0.831 0.248 (multiplicity 1)
Li 0.264 0.830 0.748 (multiplicity 1)
Li 0.482 0.012 0.507 (multiplicity 1)
Li 0.482 0.013 0.008 (multiplicity 1)
Li 0.515 0.477 0.743 (multiplicity 1)
Li 0.982 0.477 0.242 (multiplicity 1)
Mn 0.246 0.385 0.013 (multiplicity 1)
Mn 0.249 0.385 0.513 (multiplicity 1)
Mn 0.743 0.102 0.235 (multiplicity 1)
Mn 0.745 0.103 0.735 (multiplicity 1)
P 0.247 0.151 0.273 (multiplicity 1)
P 0.256 0.152 0.773 (multiplicity 1)
P 0.739 0.333 0.975 (multiplicity 1)
P 0.747 0.333 0.475 (multiplicity 1)
C 0.255 0.698 0.490 (multiplicity 1)
C 0.257 0.698 0.990 (multiplicity 1)
C 0.738 0.799 0.757 (multiplicity 1)
C 0.754 0.799 0.257 (multiplicity 1)
O 0.062 0.052 0.236 (multiplicity 1)
O 0.063 0.064 0.732 (multiplicity 1)
O 0.233 0.316 0.218 (multiplicity 1)
O 0.245 0.599 0.393 (multiplicity 1)
O 0.248 0.600 0.893 (multiplicity 1)
O 0.249 0.651 0.611 (multiplicity 1)
O 0.251 0.651 0.111 (multiplicity 1)
O 0.266 0.317 0.719 (multiplicity 1)
O 0.267 0.165 0.426 (multiplicity 1)
O 0.269 0.164 0.926 (multiplicity 1)
O 0.271 0.842 0.464 (multiplicity 1)
O 0.271 0.842 0.964 (multiplicity 1)
O 0.427 0.061 0.217 (multiplicity 1)
O 0.428 0.051 0.720 (multiplicity 1)
O 0.560 0.429 0.024 (multiplicity 1)
O 0.566 0.430 0.519 (multiplicity 1)
O 0.725 0.651 0.766 (multiplicity 1)
O 0.732 0.168 0.527 (multiplicity 1)
O 0.733 0.168 0.028 (multiplicity 1)
O 0.734 0.325 0.821 (multiplicity 1)
O 0.741 0.885 0.362 (multiplicity 1)
O 0.743 0.885 0.862 (multiplicity 1)
O 0.746 0.863 0.142 (multiplicity 1)
O 0.748 0.863 0.642 (multiplicity 1)
O 0.758 0.325 0.321 (multiplicity 1)
O 0.774 0.653 0.266 (multiplicity 1)
O 0.930 0.422 0.022 (multiplicity 1)
O 0.935 0.420 0.526 (multiplicity 1)

[2]
Material: Ba2Y2Co4O9
Method: DFT, PBE+U
State: optimized geometry

Computed properties:
- energy of formation from the pure elements (meV per atom) = -2322
- total magnetic moment (μB per atom) = 0.574

a b c (Å): 3.742 8.302 8.754
angles (deg): 62.01 89.95 89.99
Space group P1 (No. 1)
Inequivalent atoms, fractional coordinates:
Ba 0.000 0.000 0.000 (multiplicity 1)
Ba 0.001 0.487 0.013 (multiplicity 1)
Y 0.000 0.732 0.484 (multiplicity 1)
Y 0.001 0.266 0.487 (multiplicity 1)
Co 0.501 0.102 0.283 (multiplicity 1)
Co 0.501 0.378 0.753 (multiplicity 1)
Co 0.501 0.625 0.242 (multiplicity 1)
Co 0.501 0.872 0.735 (multiplicity 1)
O 0.001 0.037 0.404 (multiplicity 1)
O 0.001 0.402 0.676 (multiplicity 1)
O 0.001 0.578 0.321 (multiplicity 1)
O 0.500 0.676 0.681 (multiplicity 1)
O 0.500 0.747 0.982 (multiplicity 1)
O 0.501 0.236 0.008 (multiplicity 1)
O 0.501 0.340 0.297 (multiplicity 1)
O 0.501 0.839 0.297 (multiplicity 1)
O 0.502 0.117 0.677 (multiplicity 1)

[3]
Material: ZnCoP2H12O11
Method: DFT, PBE+U
State: optimized geometry

Computed properties:
- energy of formation from the pure elements (meV per atom) = -1497
- total magnetic moment (μB per atom) = 0.037

a b c (Å): 7.586 7.711 9.529
angles (deg): 88.88 88.93 87.62
Space group P-1 (No. 2)
Inequivalent atoms, fractional coordinates:
Zn 0.001 0.004 0.251 (multiplicity 2)
Co 0.000 0.500 0.500 (multiplicity 1)
Co 0.500 0.000 0.000 (multiplicity 1)
P 0.125 0.777 0.992 (multiplicity 2)
P 0.228 0.113 0.486 (multiplicity 2)
H 0.039 0.381 0.772 (multiplicity 2)
H 0.041 0.587 0.763 (multiplicity 2)
H 0.209 0.610 0.988 (multiplicity 2)
H 0.235 0.738 0.435 (multiplicity 2)
H 0.247 0.233 0.094 (multiplicity 2)
H 0.337 0.563 0.392 (multiplicity 2)
H 0.375 0.523 0.707 (multiplicity 2)
H 0.389 0.093 0.743 (multiplicity 2)
H 0.400 0.177 0.472 (multiplicity 2)
H 0.402 0.919 0.266 (multiplicity 2)
H 0.425 0.314 0.143 (multiplicity 2)
H 0.491 0.391 0.792 (multiplicity 2)
O 0.011 0.221 0.131 (multiplicity 2)
O 0.035 0.789 0.138 (multiplicity 2)
O 0.083 0.481 0.714 (multiplicity 2)
O 0.092 0.256 0.452 (multiplicity 2)
O 0.218 0.039 0.638 (multiplicity 2)
O 0.218 0.967 0.375 (multiplicity 2)
O 0.251 0.614 0.461 (multiplicity 2)
O 0.257 0.915 0.962 (multiplicity 2)
O 0.376 0.237 0.074 (multiplicity 2)
O 0.495 0.506 0.746 (multiplicity 2)
O 0.497 0.123 0.794 (multiplicity 2)

[4]
Material: Mn3Ag4O8
Method: DFT, PBE+U
State: optimized geometry

Computed properties:
- energy of formation from the pure elements (meV per atom) = -1229
- total magnetic moment (μB per atom) = 0.600
- relative energy among the computed polymorphs (meV/atom) = 0

a b c (Å): 12.8273 12.8273 15.7372
angles (deg): 90.00 90.00 120.00
Space group P3_121 (No. 152)
Inequivalent atoms, fractional coordinates:
Mn 0.0000 0.6301 0.1667 (multiplicity 3)
Mn 0.0000 0.7906 0.6667 (multiplicity 3)
Mn 0.0419 0.7058 0.8333 (multiplicity 6)
Mn 0.0537 0.4855 0.8642 (multiplicity 6)
Mn 0.1002 0.2813 0.8635 (multiplicity 6)
Mn 0.1217 0.6679 0.9998 (multiplicity 6)
Mn 0.1521 0.3889 0.4713 (multiplicity 6)
Ag 0.0000 0.1698 0.1667 (multiplicity 3)
Ag 0.0000 0.2289 0.6667 (multiplicity 3)
Ag 0.0000 0.4682 0.6667 (multiplicity 3)
Ag 0.0000 0.9349 0.1667 (multiplicity 3)
Ag 0.0385 0.8947 0.9869 (multiplicity 6)
Ag 0.0816 0.3987 0.0742 (multiplicity 6)
Ag 0.1667 0.5362 0.2469 (multiplicity 6)
Ag 0.2055 0.7605 0.3521 (multiplicity 6)
Ag 0.2284 0.6545 0.5774 (multiplicity 6)
Ag 0.2971 0.6790 0.7589 (multiplicity 6)
O 0.9999 0.3335 0.4044 (multiplicity 6)
O 0.0162 0.5924 0.4134 (multiplicity 6)
O 0.0451 0.5473 0.0864 (multiplicity 6)
O 0.0474 0.2398 0.5320 (multiplicity 6)
O 0.0544 0.8185 0.4479 (multiplicity 6)
O 0.0601 0.1485 0.9393 (multiplicity 6)
O 0.0772 0.7610 0.0799 (multiplicity 6)
O 0.0892 0.7408 0.5885 (multiplicity 6)
O 0.0914 0.4769 0.5321 (multiplicity 6)
O 0.1060 0.6129 0.7822 (multiplicity 6)
O 0.1202 0.8392 0.7553 (multiplicity 6)
O 0.1504 0.4308 0.8074 (multiplicity 6)
O 0.1572 0.7179 0.2178 (multiplicity 6)
O 0.1703 0.7871 0.9128 (multiplicity 6)
O 0.1801 0.5747 0.9434 (multiplicity 6)
O 0.2461 0.5181 0.3924 (multiplicity 6)

[5]
Material: TlV3Cd4O12
Method: DFT, PBE+U
State: optimized geometry

Computed properties:
- energy of formation from the pure elements (meV per atom) = -1941

a b c (Å): 13.272 13.761 7.198
angles (deg): 90.00 115.09 90.00
Space group Cc (No. 9)
Inequivalent atoms, fractional coordinates:
Tl 0.000 0.022 0.000 (multiplicity 4)
V 0.239 0.112 0.888 (multiplicity 4)
V 0.259 0.388 0.612 (multiplicity 4)
V 0.499 0.203 0.499 (multiplicity 4)
Cd 0.015 0.496 0.722 (multiplicity 4)
Cd 0.220 0.158 0.393 (multiplicity 4)
Cd 0.278 0.340 0.106 (multiplicity 4)
Cd 0.498 0.237 0.997 (multiplicity 4)
O 0.043 0.224 0.219 (multiplicity 4)
O 0.095 0.381 0.979 (multiplicity 4)
O 0.113 0.405 0.542 (multiplicity 4)
O 0.161 0.169 0.649 (multiplicity 4)
O 0.177 0.000 0.377 (multiplicity 4)
O 0.217 0.180 0.071 (multiplicity 4)
O 0.279 0.321 0.427 (multiplicity 4)
O 0.319 0.500 0.120 (multiplicity 4)
O 0.337 0.332 0.850 (multiplicity 4)
O 0.384 0.100 0.959 (multiplicity 4)
O 0.404 0.121 0.521 (multiplicity 4)
O 0.454 0.276 0.279 (multiplicity 4)

[6]
Material: Li3Co2Si2O8
Method: DFT, PBE+U
State: optimized geometry

Computed properties:
- energy of formation from the pure elements (meV per atom) = -2364
- total magnetic moment (μB per atom) = 0.467
- relative energy among the computed polymorphs (meV/atom) = 45

a b c (Å): 9.784 9.924 9.968
angles (deg): 95.50 116.09 115.98
Space group P1 (No. 1)
Inequivalent atoms, fractional coordinates:
Li 0.000 0.000 0.000 (multiplicity 1)
Li 0.013 0.641 0.363 (multiplicity 1)
Li 0.141 0.524 0.646 (multiplicity 1)
Li 0.202 0.023 0.411 (multiplicity 1)
Li 0.253 0.328 0.931 (multiplicity 1)
Li 0.383 0.120 0.226 (multiplicity 1)
Li 0.491 0.971 0.507 (multiplicity 1)
Li 0.517 0.664 0.858 (multiplicity 1)
Li 0.628 0.519 0.139 (multiplicity 1)
Li 0.762 0.316 0.433 (multiplicity 1)
Li 0.816 0.605 0.971 (multiplicity 1)
Li 0.871 0.120 0.722 (multiplicity 1)
Co 0.001 0.222 0.278 (multiplicity 1)
Co 0.002 0.918 0.587 (multiplicity 1)
Co 0.006 0.722 0.777 (multiplicity 1)
Co 0.012 0.417 0.087 (multiplicity 1)
Co 0.503 0.222 0.775 (multiplicity 1)
Co 0.503 0.722 0.274 (multiplicity 1)
Co 0.508 0.923 0.083 (multiplicity 1)
Co 0.510 0.425 0.587 (multiplicity 1)
Si 0.179 0.787 0.146 (multiplicity 1)
Si 0.181 0.283 0.636 (multiplicity 1)
Si 0.323 0.854 0.713 (multiplicity 1)
Si 0.331 0.355 0.224 (multiplicity 1)
Si 0.682 0.287 0.141 (multiplicity 1)
Si 0.684 0.786 0.648 (multiplicity 1)
Si 0.832 0.361 0.726 (multiplicity 1)
Si 0.832 0.857 0.213 (multiplicity 1)
O 0.041 0.623 0.155 (multiplicity 1)
O 0.043 0.799 0.976 (multiplicity 1)
O 0.045 0.302 0.475 (multiplicity 1)
O 0.063 0.133 0.674 (multiplicity 1)
O 0.183 0.882 0.750 (multiplicity 1)
O 0.185 0.378 0.251 (multiplicity 1)
O 0.210 0.689 0.569 (multiplicity 1)
O 0.234 0.193 0.080 (multiplicity 1)
O 0.284 0.947 0.298 (multiplicity 1)
O 0.293 0.448 0.784 (multiplicity 1)
O 0.315 0.247 0.595 (multiplicity 1)
O 0.330 0.772 0.121 (multiplicity 1)
O 0.431 0.009 0.674 (multiplicity 1)
O 0.442 0.507 0.183 (multiplicity 1)
O 0.456 0.842 0.883 (multiplicity 1)
O 0.463 0.339 0.391 (multiplicity 1)
O 0.555 0.801 0.484 (multiplicity 1)
O 0.558 0.311 0.984 (multiplicity 1)
O 0.564 0.127 0.176 (multiplicity 1)
O 0.567 0.623 0.680 (multiplicity 1)
O 0.681 0.880 0.230 (multiplicity 1)
O 0.698 0.404 0.761 (multiplicity 1)
O 0.718 0.201 0.572 (multiplicity 1)
O 0.726 0.697 0.062 (multiplicity 1)
O 0.781 0.443 0.294 (multiplicity 1)
O 0.798 0.946 0.799 (multiplicity 1)
O 0.825 0.749 0.620 (multiplicity 1)
O 0.828 0.257 0.122 (multiplicity 1)
O 0.953 0.519 0.692 (multiplicity 1)
O 0.965 0.025 0.198 (multiplicity 1)
O 0.965 0.339 0.880 (multiplicity 1)
O 0.970 0.850 0.380 (multiplicity 1)

[7]
Material: MgCr2O4
Method: DFT, PBE+U
State: optimized geometry

Computed properties:
- energy of formation from the pure elements (meV per atom) = -2250
- total magnetic moment (μB per atom) = 0.857
- relative energy among the computed polymorphs (meV/atom) = 384

a b c (Å): 5.027 5.027 3.006
angles (deg): 90.00 90.00 90.00
Space group P-4 (No. 81)
Inequivalent atoms, fractional coordinates:
Mg 0.000 0.000 0.000 (multiplicity 1)
Cr 0.000 0.500 0.267 (multiplicity 2)
O 0.187 0.296 0.748 (multiplicity 4)